# 1
Entry from Materials Project: an optimized crystal structure of Na3B5Pt9 (PBE).

formation enthalpy at 0 K: -0.42 eV/atom
energy: -198.17 eV/cell
symmetry: Cmcm, No. 63
volume: 14.54 A^3/atom

abc: 6.4096 6.4096 15.2778
angles: 90.00 90.00 128.03
Positions (direct):
Na  0.0590  0.9410  0.5867
Na  0.0590  0.9410  0.9133
Na  0.1860  0.8140  0.7500
Na  0.8140  0.1860  0.2500
Na  0.9410  0.0590  0.0867
Na  0.9410  0.0590  0.4133
B  0.2275  0.7725  0.2500
B  0.3104  0.6896  0.0278
B  0.3104  0.6896  0.4722
B  0.4442  0.5558  0.6465
B  0.4442  0.5558  0.8535
B  0.5558  0.4442  0.1465
B  0.5558  0.4442  0.3535
B  0.6896  0.3104  0.5278
B  0.6896  0.3104  0.9722
B  0.7725  0.2275  0.7500
Pt  0.0684  0.4363  0.5790
Pt  0.0684  0.4363  0.9210
Pt  0.1594  0.3333  0.7500
Pt  0.3333  0.1594  0.2500
Pt  0.3722  0.6278  0.1570
Pt  0.3722  0.6278  0.3430
Pt  0.4363  0.0684  0.0790
Pt  0.4363  0.0684  0.4210
Pt  0.5000  0.5000  0.0000
Pt  0.5000  0.5000  0.5000
Pt  0.5637  0.9316  0.5790
Pt  0.5637  0.9316  0.9210
Pt  0.6278  0.3722  0.6570
Pt  0.6278  0.3722  0.8430
Pt  0.6667  0.8406  0.7500
Pt  0.8406  0.6667  0.2500
Pt  0.9316  0.5637  0.0790
Pt  0.9316  0.5637  0.4210

# 2
Entry from Materials Project: an optimized crystal structure of Na3BS3 (PBE).

formation enthalpy at 0 K: -1.16 eV/atom
energy: -59.39 eV/cell
symmetry: C2/c, No. 15
total energy after the MP2020 corrections: -4.458 eV/atom
volume: 21.25 A^3/atom

abc: 6.8314 6.8314 8.4500
angles: 114.18 114.18 58.70
Positions (direct):
Na  0.0000  0.5000  0.5000
Na  0.1184  0.6880  0.9956
Na  0.3120  0.8816  0.5044
Na  0.5000  0.0000  0.0000
Na  0.6880  0.1184  0.4956
Na  0.8816  0.3120  0.0044
B  0.4219  0.5781  0.7500
B  0.5781  0.4219  0.2500
S  0.1439  0.8561  0.7500
S  0.3072  0.4226  0.2468
S  0.4226  0.3072  0.7468
S  0.5774  0.6928  0.2532
S  0.6928  0.5774  0.7532
S  0.8561  0.1439  0.2500